Computed, not measured: KCuH3 after structural relaxation at the r2SCAN level of DFT.

Calculated values
The theoretical density is 3.0 g cm⁻³. The value obtained for the raw total energy is -27.58 eV per formula unit. The value obtained for the total magnetization is 0.0 μB per cell. The formation energy is -0.347 eV/f.u. The space group is I4/mcm.

Cell: 5.3715 5.3715 5.3715 Å, 114.42 114.42 99.97°
With the nearest neighbours (Å) after each atom.
Element x y z (fractional)
K  0.2500  0.2500  0.0000  12 H 2.73-2.91
K  0.7500  0.7500  0.0000  12 H 2.73-2.91
Cu  0.0000  0.5000  0.5000  4 H 1.56-1.73
Cu  0.5000  0.0000  0.5000  4 H 1.56-1.73
H  0.1894  0.6894  0.8788  1 Cu 1.56
H  0.2500  0.7500  0.5000  2 Cu 1.73
H  0.3106  0.1894  0.5000  1 Cu 1.56
H  0.6894  0.8106  0.5000  1 Cu 1.56
H  0.7500  0.2500  0.5000  2 Cu 1.73
H  0.8106  0.3106  0.1212  1 Cu 1.56